# 1
A relaxed Cs5GeP3 crystal, computed with r²SCAN.

## Properties
Crystal system   orthorhombic
Calculated volume   37.93 Å³/atom
ΔH_f (0 K)   -0.464 eV/atom
Space group   Pnma, No. 62

Lattice parameters (Å, degrees): 14.3689 6.0090 15.8138 90.00 90.00 90.00
Last column: nearest neighbours and their distance in Å.
Positions (direct):
Cs  0.0459  0.2500  0.1494  4 Cs 3.70-4.02, 4 P 3.83-3.94
Cs  0.0615  0.2500  0.4509  5 P 3.68-4.04, 4 Cs 3.82-3.93, 2 Ge 3.95
Cs  0.1174  0.2500  0.6880  4 P 3.56-3.68, 3 Cs 3.78-3.83
Cs  0.1468  0.7500  0.0489  5 P 3.66-3.80, 3 Cs 3.70-4.04, 2 Ge 3.86
Cs  0.2264  0.7500  0.7936  3 P 3.53-3.65, 3 Cs 3.78-3.93, 2 Ge 3.78
Cs  0.2736  0.2500  0.2936  3 P 3.53-3.65, 3 Cs 3.78-3.93, 2 Ge 3.78
Cs  0.3532  0.2500  0.5489  5 P 3.66-3.80, 3 Cs 3.70-4.04, 2 Ge 3.86
Cs  0.3826  0.7500  0.1880  4 P 3.56-3.68, 3 Cs 3.78-3.83
Cs  0.4385  0.7500  0.9509  5 P 3.68-4.04, 4 Cs 3.82-3.93, 2 Ge 3.95
Cs  0.4541  0.7500  0.6494  4 Cs 3.70-4.02, 4 P 3.83-3.94
Cs  0.5459  0.2500  0.3506  4 Cs 3.70-4.02, 4 P 3.83-3.94
Cs  0.5615  0.2500  0.0491  5 P 3.68-4.04, 4 Cs 3.82-3.93, 2 Ge 3.95
Cs  0.6174  0.2500  0.8120  4 P 3.56-3.68, 3 Cs 3.78-3.83
Cs  0.6468  0.7500  0.4511  5 P 3.66-3.80, 3 Cs 3.70-4.04, 2 Ge 3.86
Cs  0.7264  0.7500  0.7064  3 P 3.53-3.65, 3 Cs 3.78-3.93, 2 Ge 3.78
Cs  0.7736  0.2500  0.2064  3 P 3.53-3.65, 3 Cs 3.78-3.93, 2 Ge 3.78
Cs  0.8532  0.2500  0.9511  5 P 3.66-3.80, 3 Cs 3.70-4.04, 2 Ge 3.86
Cs  0.8826  0.7500  0.3120  4 P 3.56-3.68, 3 Cs 3.78-3.83
Cs  0.9385  0.7500  0.5491  5 P 3.68-4.04, 4 Cs 3.82-3.93, 2 Ge 3.95
Cs  0.9541  0.7500  0.8506  4 Cs 3.70-4.02, 4 P 3.83-3.94
Ge  0.2395  0.7500  0.4358  3 P 2.27
Ge  0.2605  0.2500  0.9358  3 P 2.27
Ge  0.7395  0.7500  0.0642  3 P 2.27
Ge  0.7605  0.2500  0.5642  3 P 2.27
P  0.1047  0.2500  0.9132  1 Ge 2.27
P  0.1348  0.7500  0.3279  1 Ge 2.27
P  0.1932  0.7500  0.5727  1 Ge 2.27
P  0.3068  0.2500  0.0727  1 Ge 2.27
P  0.3652  0.2500  0.8279  1 Ge 2.27
P  0.3953  0.7500  0.4132  1 Ge 2.27
P  0.6047  0.2500  0.5868  1 Ge 2.27
P  0.6348  0.7500  0.1721  1 Ge 2.27
P  0.6932  0.7500  0.9273  1 Ge 2.27
P  0.8068  0.2500  0.4273  1 Ge 2.27
P  0.8652  0.2500  0.6721  1 Ge 2.27
P  0.8953  0.7500  0.0868  1 Ge 2.27

---

# 2
A relaxed Cs2Ge2S5 crystal, computed with r²SCAN.

## Properties
Crystal system   monoclinic
Calculated volume   32.85 Å³/atom
ΔH_f (0 K)   -0.930 eV/atom
Space group   C2/c, No. 15

Lattice parameters (Å, degrees): 11.3160 11.3160 9.5735 100.69 100.69 90.39
Last column: nearest neighbours and their distance in Å.
Positions (direct):
Cs  0.0589  0.2067  0.1374  6 S 3.48-3.83
Cs  0.2067  0.0589  0.6374  6 S 3.48-3.83
Cs  0.2106  0.4810  0.6314  7 S 3.51-3.91
Cs  0.4810  0.2106  0.1314  7 S 3.51-3.91
Cs  0.5190  0.7894  0.8686  7 S 3.51-3.91
Cs  0.7894  0.5190  0.3686  7 S 3.51-3.91
Cs  0.7933  0.9411  0.3626  6 S 3.48-3.83
Cs  0.9411  0.7933  0.8626  6 S 3.48-3.83
Ge  0.1407  0.7308  0.3804  4 S 2.13-2.26
Ge  0.2653  0.5302  0.1057  4 S 2.12-2.27
Ge  0.2692  0.8592  0.1196  4 S 2.13-2.26
Ge  0.4698  0.7347  0.3943  4 S 2.12-2.27
Ge  0.5302  0.2653  0.6057  4 S 2.12-2.27
Ge  0.7308  0.1407  0.8804  4 S 2.13-2.26
Ge  0.7347  0.4698  0.8943  4 S 2.12-2.27
Ge  0.8592  0.2692  0.6196  4 S 2.13-2.26
S  0.0133  0.7534  0.5197  1 Ge 2.13
S  0.1188  0.5478  0.2401  2 Ge 2.23-2.27
S  0.1210  0.8790  0.2500  2 Ge 2.26
S  0.2422  0.3613  0.9625  1 Ge 2.12
S  0.2438  0.6771  0.9734  2 Ge 2.25-2.26
S  0.2466  0.9867  0.9803  1 Ge 2.13
S  0.3229  0.7562  0.5266  2 Ge 2.25-2.26
S  0.3613  0.2422  0.4625  1 Ge 2.12
S  0.4481  0.5519  0.2500  2 Ge 2.25
S  0.4522  0.8812  0.2599  2 Ge 2.23-2.27
S  0.5478  0.1188  0.7401  2 Ge 2.23-2.27
S  0.5519  0.4481  0.7500  2 Ge 2.25
S  0.6387  0.7578  0.5375  1 Ge 2.12
S  0.6771  0.2438  0.4734  2 Ge 2.25-2.26
S  0.7534  0.0133  0.0197  1 Ge 2.13
S  0.7562  0.3229  0.0266  2 Ge 2.25-2.26
S  0.7578  0.6387  0.0375  1 Ge 2.12
S  0.8790  0.1210  0.7500  2 Ge 2.26
S  0.8812  0.4522  0.7599  2 Ge 2.23-2.27
S  0.9867  0.2466  0.4803  1 Ge 2.13

---

# 3
A relaxed Cs3GeTe3 crystal, computed with r²SCAN.

## Properties
Crystal system   monoclinic
Calculated volume   45.99 Å³/atom
ΔH_f (0 K)   -0.995 eV/atom
Space group   C2/c, No. 15

Lattice parameters (Å, degrees): 11.2914 11.2914 10.3210 95.06 95.06 80.15
Last column: nearest neighbours and their distance in Å.
Positions (direct):
Cs  0.0829  0.9171  0.7500  6 Te 3.88-3.91, 2 Cs 4.19
Cs  0.1900  0.2432  0.6873  5 Te 3.72-4.07
Cs  0.2163  0.5992  0.3715  7 Te 3.83-4.29, 2 Cs 4.25-4.28
Cs  0.2432  0.1900  0.1873  5 Te 3.72-4.07
Cs  0.3972  0.6028  0.7500  6 Te 3.75-4.01
Cs  0.4008  0.7837  0.1285  7 Te 3.83-4.29, 2 Cs 4.25-4.28
Cs  0.5992  0.2163  0.8715  7 Te 3.83-4.29, 2 Cs 4.25-4.28
Cs  0.6028  0.3972  0.2500  6 Te 3.75-4.01
Cs  0.7568  0.8100  0.8127  5 Te 3.72-4.07
Cs  0.7837  0.4008  0.6285  7 Te 3.83-4.29, 2 Cs 4.25-4.28
Cs  0.8100  0.7568  0.3127  5 Te 3.72-4.07
Cs  0.9171  0.0829  0.2500  6 Te 3.88-3.91, 2 Cs 4.19
Ge  0.0753  0.5605  0.9607  1 Ge 2.58, 3 Te 2.59-2.62
Ge  0.4395  0.9247  0.5393  1 Ge 2.58, 3 Te 2.59-2.62
Ge  0.5605  0.0753  0.4607  1 Ge 2.58, 3 Te 2.59-2.62
Ge  0.9247  0.4395  0.0393  1 Ge 2.58, 3 Te 2.59-2.62
Te  0.0456  0.5776  0.7080  1 Ge 2.62
Te  0.0491  0.7763  0.0748  1 Ge 2.59
Te  0.2237  0.9509  0.4252  1 Ge 2.59
Te  0.2959  0.4543  0.0220  1 Ge 2.62
Te  0.4224  0.9544  0.7920  1 Ge 2.62
Te  0.4543  0.2959  0.5220  1 Ge 2.62
Te  0.5457  0.7041  0.4780  1 Ge 2.62
Te  0.5776  0.0456  0.2080  1 Ge 2.62
Te  0.7041  0.5457  0.9780  1 Ge 2.62
Te  0.7763  0.0491  0.5748  1 Ge 2.59
Te  0.9509  0.2237  0.9252  1 Ge 2.59
Te  0.9544  0.4224  0.2920  1 Ge 2.62

---

# 4
A relaxed Cs2GeTe4 crystal, computed with r²SCAN.

## Properties
Crystal system   orthorhombic
Calculated volume   41.62 Å³/atom
ΔH_f (0 K)   -0.715 eV/atom
Space group   Pnma, No. 62

Lattice parameters (Å, degrees): 12.8486 11.6811 7.7644 90.00 90.00 90.00
Last column: nearest neighbours and their distance in Å.
Positions (direct):
Cs  0.1464  0.0551  0.0974  9 Te 3.88-4.21, 1 Cs 4.26
Cs  0.1464  0.4449  0.0974  9 Te 3.88-4.21, 1 Cs 4.26
Cs  0.3536  0.5551  0.5974  9 Te 3.88-4.21, 1 Cs 4.26
Cs  0.3536  0.9449  0.5974  9 Te 3.88-4.21, 1 Cs 4.26
Cs  0.6464  0.0551  0.4026  9 Te 3.88-4.21, 1 Cs 4.26
Cs  0.6464  0.4449  0.4026  9 Te 3.88-4.21, 1 Cs 4.26
Cs  0.8536  0.5551  0.9026  9 Te 3.88-4.21, 1 Cs 4.26
Cs  0.8536  0.9449  0.9026  9 Te 3.88-4.21, 1 Cs 4.26
Ge  0.0640  0.7500  0.4940  4 Te 2.56-2.68
Ge  0.4360  0.2500  0.9940  4 Te 2.56-2.68
Ge  0.5640  0.7500  0.0060  4 Te 2.56-2.68
Ge  0.9360  0.2500  0.5060  4 Te 2.56-2.68
Te  0.0658  0.0782  0.5841  1 Ge 2.68, 1 Te 2.81
Te  0.0658  0.4218  0.5841  1 Ge 2.68, 1 Te 2.81
Te  0.1161  0.7500  0.8125  1 Ge 2.56
Te  0.2101  0.7500  0.2654  1 Ge 2.58
Te  0.2899  0.2500  0.7654  1 Ge 2.58
Te  0.3839  0.2500  0.3125  1 Ge 2.56
Te  0.4342  0.5782  0.0841  1 Ge 2.68, 1 Te 2.81
Te  0.4342  0.9218  0.0841  1 Ge 2.68, 1 Te 2.81
Te  0.5658  0.0782  0.9159  1 Ge 2.68, 1 Te 2.81
Te  0.5658  0.4218  0.9159  1 Ge 2.68, 1 Te 2.81
Te  0.6161  0.7500  0.6875  1 Ge 2.56
Te  0.7101  0.7500  0.2346  1 Ge 2.58
Te  0.7899  0.2500  0.7346  1 Ge 2.58
Te  0.8839  0.2500  0.1875  1 Ge 2.56
Te  0.9342  0.5782  0.4159  1 Ge 2.68, 1 Te 2.81
Te  0.9342  0.9218  0.4159  1 Ge 2.68, 1 Te 2.81